1.
Here is a relaxed LaEuHg2 crystal from the Materials Project database. Energies are from PBE.

a = 7.789 Å, b = 7.789 Å, c = 7.789 Å
α = 90.00°, β = 90.00°, γ = 90.00°
Space group Fm-3m (No. 225)
Symmetry-distinct sites (fractional):
La (0.000, 0.000, 0.000) x4
Eu (0.000, 0.000, 0.500) x4
Hg (0.250, 0.250, 0.250) x8

Results
- total DFT energy (no corrections) (eV/cell) = -71.80
- energy relative to the elements (eV per atom) = -0.537

=====

2.
Here is a relaxed CsGdTe4 crystal from the Materials Project database. Energies are from PBE.

a = 6.920 Å, b = 6.920 Å, c = 9.574 Å
α = 90.00°, β = 90.00°, γ = 90.00°
Space group P4/nbm (No. 125, origin choice 2)
Symmetry-distinct sites (fractional):
Cs (0.250, 0.250, 0.000) x2
Gd (0.250, 0.250, 0.500) x2
Te (0.106, 0.606, 0.306) x8

Results
- total DFT energy (no corrections) (eV/cell) = -66.60
- energy relative to the elements (eV per atom) = -1.240

=====

3.
Here is a relaxed MgSb2O4 crystal from the Materials Project database. Energies are from PBE.

a = 6.7189 Å, b = 6.7189 Å, c = 15.8177 Å
α = 90.00°, β = 90.00°, γ = 120.00°
Space group R3m (No. 160, hexagonal axes)
Symmetry-distinct sites (fractional):
Mg (0.0000, 0.0000, 0.0000) x3
Mg (0.0000, 0.0000, 0.3765) x3
Sb (0.0000, 0.0000, 0.7795) x3
Sb (0.1694, 0.3387, 0.2160) x9
O (0.0000, 0.0000, 0.1388) x3
O (0.0000, 0.0000, 0.6542) x3
O (0.0385, 0.5192, 0.1153) x9
O (0.1774, 0.3547, 0.9569) x9

Results
- total DFT energy (no corrections) (eV/cell) = -237.85
- energy relative to the elements (eV per atom) = -1.820

=====

4.
Here is a relaxed NaEuHg2 crystal from the Materials Project database. Energies are from PBE.

a = 7.621 Å, b = 7.621 Å, c = 7.621 Å
α = 90.00°, β = 90.00°, γ = 90.00°
Space group Fm-3m (No. 225)
Symmetry-distinct sites (fractional):
Na (0.000, 0.000, 0.000) x4
Eu (0.000, 0.000, 0.500) x4
Hg (0.250, 0.250, 0.250) x8

Results
- total DFT energy (no corrections) (eV/cell) = -54.84
- energy relative to the elements (eV per atom) = -0.381

=====

5.
Here is a relaxed NpMn2Si2 crystal from the Materials Project database. Energies are from PBE.

a = 3.941 Å, b = 3.941 Å, c = 9.996 Å
α = 90.00°, β = 90.00°, γ = 90.00°
Space group I4/mmm (No. 139)
Symmetry-distinct sites (fractional):
Np (0.000, 0.000, 0.000) x2
Mn (0.000, 0.500, 0.250) x4
Si (0.000, 0.000, 0.380) x4

Results
- total DFT energy (no corrections) (eV/cell) = -85.65
- energy relative to the elements (eV per atom) = -0.112

=====

6.
Here is a relaxed ErTlRh2 crystal from the Materials Project database. Energies are from PBE.

a = 6.674 Å, b = 6.674 Å, c = 6.674 Å
α = 90.00°, β = 90.00°, γ = 90.00°
Space group Fm-3m (No. 225)
Symmetry-distinct sites (fractional):
Er (0.000, 0.000, 0.000) x4
Tl (0.000, 0.000, 0.500) x4
Rh (0.250, 0.250, 0.250) x8

Results
- total DFT energy (no corrections) (eV/cell) = -95.74
- energy relative to the elements (eV per atom) = -0.569

=====

7.
Here is a relaxed Y2Fe17C3 crystal from the Materials Project database. Energies are from PBE.

a = 8.6445 Å, b = 8.6445 Å, c = 12.4708 Å
α = 90.00°, β = 90.00°, γ = 120.00°
Space group R-3m (No. 166, hexagonal axes)
Symmetry-distinct sites (fractional):
Y (0.0000, 0.0000, 0.1579) x6
Fe (0.0000, 0.0000, 0.4048) x6
Fe (0.0000, 0.2841, 0.5000) x18
Fe (0.0000, 0.5000, 0.0000) x9
Fe (0.0072, 0.5036, 0.3468) x18
C (0.0000, 0.5000, 0.5000) x9

Results
- total DFT energy (no corrections) (eV/cell) = -550.00
- energy relative to the elements (eV per atom) = 0.058

=====

8.
Here is a relaxed Ga3Cu crystal from the Materials Project database. Energies are from PBE.

a = 4.035 Å, b = 4.035 Å, c = 4.035 Å
α = 90.00°, β = 90.00°, γ = 90.00°
Space group Pm-3m (No. 221)
Symmetry-distinct sites (fractional):
Ga (0.000, 0.000, 0.500) x3
Cu (0.500, 0.500, 0.500) x1

Results
- total DFT energy (no corrections) (eV/cell) = -12.95
- energy relative to the elements (eV per atom) = 0.059

=====

9.
Here is a relaxed BaYMgCuBiO5 crystal from the Materials Project database. Energies are from PBE.

a = 3.891 Å, b = 3.891 Å, c = 11.940 Å
α = 90.00°, β = 90.00°, γ = 90.00°
Space group P4mm (No. 99)
Symmetry-distinct sites (fractional):
Ba (0.000, 0.000, 0.000) x1
Y (0.000, 0.000, 0.313) x1
Mg (0.500, 0.500, 0.445) x1
Cu (0.500, 0.500, 0.166) x1
Bi (0.500, 0.500, 0.747) x1
O (0.000, 0.500, 0.164) x2
O (0.000, 0.500, 0.409) x2
O (0.500, 0.500, 0.923) x1

Results
- total DFT energy (no corrections) (eV/cell) = -62.57
- energy relative to the elements (eV per atom) = -2.329

=====

10.
Here is a relaxed CuO crystal from the Materials Project database. Energies are from PBE.

a = 4.233 Å, b = 4.233 Å, c = 4.233 Å
α = 90.00°, β = 90.00°, γ = 90.00°
Space group Fm-3m (No. 225)
Symmetry-distinct sites (fractional):
Cu (0.000, 0.000, 0.000) x4
O (0.000, 0.000, 0.500) x4

Results
- total DFT energy (no corrections) (eV/cell) = -39.61
- energy relative to the elements (eV per atom) = -0.772

=====

11.
Here is a relaxed KFeSe2 crystal from the Materials Project database. Energies are from PBE.

a = 7.322 Å, b = 11.718 Å, c = 5.619 Å
α = 90.00°, β = 112.49°, γ = 90.00°
Space group C2/c (No. 15)
Symmetry-distinct sites (fractional):
K (0.000, 0.138, 0.250) x4
Fe (0.000, 0.498, 0.750) x4
Se (0.196, 0.387, 0.099) x8

Results
- total DFT energy (no corrections) (eV/cell) = -76.76
- energy relative to the elements (eV per atom) = -0.890

=====

12.
Here is a relaxed NdV2Fe5Co5 crystal from the Materials Project database. Energies are from PBE.

a = 4.675 Å, b = 8.452 Å, c = 8.524 Å
α = 90.00°, β = 90.00°, γ = 90.00°
Space group Imm2 (No. 44)
Symmetry-distinct sites (fractional):
Nd (0.000, 0.000, 0.000) x2
V (0.000, 0.000, 0.362) x2
V (0.000, 0.000, 0.642) x2
Fe (0.000, 0.500, 0.733) x2
Fe (0.250, 0.249, 0.751) x8
Co (0.000, 0.272, 0.502) x4
Co (0.000, 0.360, 0.001) x4
Co (0.000, 0.500, 0.272) x2

Results
- total DFT energy (no corrections) (eV/cell) = -202.88
- energy relative to the elements (eV per atom) = -0.047